(1)
Computed, not measured: an optimized crystal structure of Na2LiFePCO7 at the GGA+U level of DFT.

Computed properties:
As for the space group: P1. As for the formation energy: -2291 meV/atom.

Cell lengths 6.6626, 8.8557, 10.3148 Å; angles 88.36, 89.54, 89.40 degrees
With the nearest neighbours (Å) after each atom.
Fractional coordinates of all 52 atoms:
O  0.7516  0.1226  0.4754  1 C 1.31
P  0.2472  0.4046  0.3495  4 O 1.55-1.56
O  0.2508  0.9112  0.0154  1 C 1.30
O  0.7706  0.4246  0.0871  1 P 1.55
Na  0.7544  0.9184  0.6200  5 O 2.31-2.48
O  0.7626  0.1468  0.2584  1 C 1.30
O  0.7549  0.1372  0.7607  1 C 1.30
Na  0.5000  0.7399  0.3754  5 O 2.28-2.52
O  0.5619  0.6708  0.1036  1 P 1.56
C  0.7536  0.0603  0.3619  3 O 1.29-1.31
O  0.2255  0.0950  0.1641  1 C 1.29
Li  0.2414  0.0931  0.3735  4 O 2.16-2.32
Na  0.7567  0.9183  0.1190  4 O 2.27-2.52
O  0.9352  0.6845  0.1005  1 P 1.56
O  0.5623  0.6834  0.6128  1 P 1.56
O  0.7736  0.9069  0.8604  1 C 1.30
P  0.2450  0.4110  0.8542  4 O 1.55-1.57
O  0.0690  0.3048  0.3979  1 P 1.56
O  0.2524  0.5594  0.4156  1 P 1.55
C  0.7596  0.0526  0.8663  3 O 1.30
O  0.2401  0.8432  0.7323  1 C 1.30
O  0.7502  0.4326  0.5855  1 P 1.54
Na  0.0039  0.2606  0.6261  5 O 2.30-2.41
Fe  0.2496  0.6492  0.1071  5 O 2.09-2.22
O  0.2284  0.5688  0.9153  1 P 1.55
P  0.7535  0.5883  0.6491  4 O 1.54-1.57
O  0.2538  0.0869  0.6713  1 C 1.29
Fe  0.2474  0.6481  0.6098  5 O 2.10-2.17
C  0.2475  0.9467  0.6402  3 O 1.29-1.31
O  0.4373  0.3070  0.3820  1 P 1.56
O  0.7467  0.9152  0.3538  1 C 1.29
O  0.2424  0.4337  0.7038  1 P 1.56
O  0.0703  0.3040  0.8992  1 P 1.57
Li  0.0146  0.2712  0.1235  4 O 2.12-2.35
O  0.7640  0.5678  0.8003  1 P 1.57
Na  0.4967  0.2586  0.1245  6 O 2.35-2.59
Fe  0.7524  0.3489  0.8912  6 O 2.10-2.34
Na  0.0005  0.7395  0.3745  5 O 2.29-2.42
P  0.7559  0.5830  0.1459  4 O 1.55-1.56
O  0.7495  0.1185  0.9773  1 C 1.30
Fe  0.7525  0.3516  0.3879  6 O 2.09-2.28
O  0.2471  0.8516  0.2292  1 C 1.31
Na  0.4971  0.2617  0.6223  5 O 2.30-2.53
O  0.7539  0.5657  0.2972  1 P 1.56
O  0.4392  0.3227  0.8940  1 P 1.56
O  0.2485  0.9073  0.5187  1 C 1.31
Li  0.9840  0.7244  0.8815  4 O 2.14-2.30
Na  0.4992  0.7405  0.8736  5 O 2.36-2.47
C  0.2409  0.9540  0.1352  3 O 1.29-1.31
O  0.2324  0.4298  0.1991  1 P 1.56
Li  0.2360  0.0891  0.8751  3 O 2.11-2.21
O  0.9361  0.6841  0.6019  1 P 1.56

---

(2)
Computed, not measured: an optimized crystal structure of Na2LiFePCO7 at the GGA+U level of DFT.

Computed properties:
As for the space group: P1. As for the formation energy: -2294 meV/atom.

Cell lengths 6.7221, 8.8364, 10.2665 Å; angles 88.38, 89.85, 89.77 degrees
With the nearest neighbours (Å) after each atom.
Fractional coordinates of all 52 atoms:
Na  0.4972  0.7446  0.8733  6 O 2.39-2.59
O  0.7487  0.5709  0.4236  1 P 1.54
O  0.2435  0.0832  0.4832  1 C 1.30
O  0.2447  0.5626  0.2926  1 P 1.56
C  0.7409  0.9476  0.6350  3 O 1.30
O  0.5668  0.3189  0.4066  1 P 1.57
O  0.2496  0.0747  0.9880  1 C 1.30
Na  0.9992  0.2623  0.1223  5 O 2.29-2.52
O  0.2484  0.4354  0.0746  1 P 1.54
C  0.2489  0.0514  0.3600  3 O 1.29-1.31
Na  0.5006  0.2624  0.1251  5 O 2.29-2.44
O  0.2592  0.1543  0.7776  1 C 1.31
O  0.7532  0.8610  0.7394  1 C 1.30
C  0.7503  0.9419  0.1358  3 O 1.29-1.30
P  0.2512  0.5946  0.6512  4 O 1.55-1.57
O  0.0688  0.6851  0.5993  1 P 1.55
O  0.4327  0.6973  0.6175  1 P 1.56
O  0.2199  0.9070  0.8259  1 C 1.30
O  0.2710  0.4339  0.5935  1 P 1.56
Fe  0.2516  0.3524  0.3962  5 O 2.11-2.17
O  0.7530  0.8536  0.2396  1 C 1.30
Na  0.7462  0.0829  0.8801  5 O 2.28-2.47
Na  0.7450  0.0838  0.3806  5 O 2.27-2.53
O  0.4372  0.6862  0.1049  1 P 1.56
O  0.0699  0.6910  0.0977  1 P 1.57
P  0.7504  0.4155  0.3598  4 O 1.54-1.57
O  0.7341  0.4317  0.6973  1 P 1.57
O  0.9375  0.3136  0.8831  1 P 1.55
Na  0.0019  0.2559  0.6287  5 O 2.37-2.49
Li  0.2480  0.9035  0.6257  4 O 2.06-2.30
O  0.7470  0.8802  0.0221  1 C 1.30
O  0.2540  0.1615  0.2723  1 C 1.31
Li  0.0218  0.7245  0.8813  4 O 2.11-2.26
Fe  0.2548  0.3568  0.8820  5 O 2.08-2.17
C  0.2423  0.0443  0.8651  3 O 1.30-1.31
Li  0.5300  0.2824  0.6157  4 O 2.10-2.20
O  0.7476  0.8828  0.5226  1 C 1.30
O  0.7454  0.4373  0.2084  1 P 1.56
O  0.7235  0.0931  0.6426  1 C 1.30
O  0.2321  0.5750  0.8029  1 P 1.57
P  0.7532  0.4138  0.8497  4 O 1.55-1.57
Fe  0.7526  0.6504  0.6178  6 O 2.08-2.27
O  0.7716  0.5744  0.9064  1 P 1.55
Na  0.0026  0.7394  0.3758  5 O 2.31-2.42
P  0.2507  0.5894  0.1421  4 O 1.54-1.57
Fe  0.7529  0.6498  0.1060  6 O 2.13-2.29
O  0.9382  0.3201  0.3988  1 P 1.56
O  0.5691  0.3266  0.9025  1 P 1.55
Li  0.2451  0.9003  0.1230  3 O 2.04-2.22
O  0.7512  0.0870  0.1455  1 C 1.29
O  0.2498  0.9132  0.3217  1 C 1.29
Na  0.4950  0.7386  0.3777  5 O 2.30-2.51

---

(3)
Computed, not measured: an optimized crystal structure of Na2LiFePCO7 at the GGA+U level of DFT.

Computed properties:
As for the space group: P1. As for the formation energy: -2281 meV/atom.

Cell lengths 6.8065, 8.8237, 10.2227 Å; angles 91.86, 90.06, 90.39 degrees
With the nearest neighbours (Å) after each atom.
Fractional coordinates of all 52 atoms:
O  0.7523  0.9282  0.9902  1 C 1.30
Na  0.9986  0.2624  0.3749  5 O 2.33-2.44
Fe  0.2467  0.3493  0.6152  5 O 2.05-2.23
O  0.0700  0.6909  0.3948  1 P 1.56
Fe  0.2474  0.3475  0.1078  6 O 2.09-2.25
O  0.2545  0.1073  0.0276  1 C 1.30
Fe  0.7518  0.6498  0.3913  5 O 2.09-2.20
C  0.7509  0.9512  0.3596  3 O 1.29-1.31
O  0.4342  0.6920  0.3940  1 P 1.56
O  0.4295  0.6724  0.8985  1 P 1.56
O  0.7458  0.8427  0.7800  1 C 1.32
O  0.2511  0.9069  0.6551  1 C 1.28
C  0.7589  0.9562  0.8664  3 O 1.29-1.32
O  0.7525  0.9191  0.4831  1 C 1.30
Li  0.7625  0.0986  0.6233  4 O 2.07-2.25
C  0.2506  0.0570  0.1459  3 O 1.29-1.30
O  0.7524  0.8398  0.2716  1 C 1.31
O  0.7514  0.5642  0.0747  1 P 1.55
O  0.2500  0.0929  0.5095  1 C 1.30
Fe  0.7474  0.6410  0.8839  5 O 2.08-2.19
Li  0.2489  0.9108  0.3764  3 O 2.07-2.30
Na  0.0027  0.7382  0.1269  5 O 2.32-2.47
P  0.2515  0.5920  0.3567  4 O 1.55-1.57
O  0.7570  0.4391  0.2928  1 P 1.56
Li  0.9694  0.2813  0.8840  4 O 2.08-2.19
O  0.7480  0.0886  0.3210  1 C 1.29
P  0.7537  0.4004  0.6464  4 O 1.55-1.57
Na  0.4971  0.7375  0.6247  5 O 2.27-2.48
P  0.7493  0.4094  0.1415  4 O 1.55-1.57
O  0.9301  0.3024  0.5990  1 P 1.55
C  0.2500  0.0482  0.6295  3 O 1.28-1.31
P  0.2418  0.5837  0.8529  4 O 1.55-1.56
O  0.0635  0.6845  0.8928  1 P 1.56
O  0.2484  0.1502  0.7258  1 C 1.31
O  0.5684  0.3028  0.6124  1 P 1.55
Na  0.2450  0.9155  0.8802  3 O 2.23-2.38
Na  0.0014  0.7374  0.6264  5 O 2.27-2.51
O  0.2468  0.5633  0.7003  1 P 1.56
O  0.7489  0.5585  0.5841  1 P 1.55
O  0.2523  0.4387  0.4261  1 P 1.55
O  0.2270  0.4233  0.9107  1 P 1.55
O  0.7684  0.4247  0.7990  1 P 1.57
O  0.2510  0.5593  0.2050  1 P 1.57
Na  0.5007  0.2572  0.8709  6 O 2.40-2.69
O  0.9261  0.3078  0.0961  1 P 1.57
Na  0.4996  0.7385  0.1269  5 O 2.32-2.46
O  0.2438  0.1560  0.2426  1 C 1.30
O  0.2525  0.9139  0.1687  1 C 1.29
Na  0.5025  0.2620  0.3780  5 O 2.33-2.50
Li  0.7551  0.0999  0.1248  3 O 2.01-2.19
O  0.7772  0.0925  0.8248  1 C 1.29
O  0.5633  0.3130  0.1054  1 P 1.56

---

(4)
Computed, not measured: an optimized crystal structure of Na2LiFePCO7 at the GGA+U level of DFT.

Computed properties:
As for the space group: P1. As for the formation energy: -2294 meV/atom.

Cell lengths 6.7493, 8.7955, 10.2804 Å; angles 92.48, 90.14, 90.71 degrees
With the nearest neighbours (Å) after each atom.
Fractional coordinates of all 52 atoms:
O  0.9365  0.6915  0.8955  1 P 1.56
O  0.4300  0.3018  0.0993  1 P 1.55
O  0.2547  0.9015  0.9853  1 C 1.30
O  0.2451  0.0932  0.8468  1 C 1.29
Fe  0.2498  0.6521  0.3850  6 O 2.09-2.26
P  0.2545  0.4029  0.1458  4 O 1.55-1.57
O  0.9336  0.6827  0.3976  1 P 1.56
O  0.7433  0.1639  0.7292  1 C 1.31
Na  0.0029  0.2647  0.8792  5 O 2.25-2.48
O  0.5695  0.6907  0.8966  1 P 1.56
Fe  0.7451  0.3483  0.6026  5 O 2.10-2.15
O  0.2555  0.4378  0.7892  1 P 1.56
O  0.0660  0.3038  0.1163  1 P 1.56
Li  0.4703  0.2834  0.3775  4 O 2.08-2.20
Na  0.5054  0.7374  0.6256  5 O 2.30-2.46
Fe  0.2534  0.6519  0.8909  6 O 2.11-2.36
O  0.2743  0.4343  0.2971  1 P 1.57
Na  0.4976  0.2644  0.8740  5 O 2.27-2.43
O  0.7490  0.5671  0.2012  1 P 1.56
Na  0.9934  0.7373  0.6282  5 O 2.31-2.44
O  0.5687  0.6957  0.3917  1 P 1.56
O  0.4289  0.3189  0.5892  1 P 1.57
O  0.7492  0.5589  0.7075  1 P 1.56
O  0.0593  0.3182  0.5989  1 P 1.56
Li  0.7381  0.9031  0.3782  3 O 2.00-2.15
Na  0.2527  0.0855  0.6193  4 O 2.23-2.46
O  0.2550  0.8926  0.4709  1 C 1.30
O  0.7410  0.1630  0.2267  1 C 1.31
C  0.7497  0.0502  0.6429  3 O 1.29-1.31
P  0.2473  0.4150  0.6379  4 O 1.54-1.57
O  0.7290  0.4318  0.4118  1 P 1.55
C  0.2607  0.9486  0.3558  3 O 1.30
O  0.2468  0.5718  0.5767  1 P 1.54
P  0.7516  0.5903  0.8575  4 O 1.55-1.56
C  0.2508  0.9501  0.8675  3 O 1.29-1.31
Fe  0.7452  0.3522  0.1141  5 O 2.06-2.21
C  0.7479  0.0486  0.1414  3 O 1.29-1.31
O  0.2494  0.8535  0.2555  1 C 1.30
O  0.7529  0.0779  0.5197  1 C 1.30
O  0.7521  0.4379  0.9271  1 P 1.55
Na  0.5037  0.7417  0.1257  5 O 2.30-2.42
Li  0.2629  0.0919  0.1231  4 O 2.15-2.31
P  0.7455  0.5909  0.3523  4 O 1.55-1.56
Li  0.7494  0.9006  0.8793  4 O 2.02-2.26
Na  0.0011  0.2588  0.3674  6 O 2.38-2.67
O  0.7488  0.0739  0.0178  1 C 1.30
Na  0.9978  0.7402  0.1264  5 O 2.32-2.43
O  0.2529  0.8510  0.7687  1 C 1.31
O  0.2763  0.0934  0.3388  1 C 1.30
O  0.7523  0.9131  0.6835  1 C 1.29
O  0.7532  0.9126  0.1840  1 C 1.29
O  0.2498  0.5573  0.0796  1 P 1.55